Record 1
Compound: Ce3Rh4Pb13
Source: Materials Project
Functional: PBE
Structure: relaxed

a b c (Å): 10.2067 10.2067 10.2067
angles (deg): 90.00 90.00 90.00
Space group Pm-3n (No. 223)
Asymmetric unit:
1 Ce 0.0000 0.2500 0.5000
2 Rh 0.2500 0.2500 0.2500
3 Pb 0.0000 0.0000 0.0000
4 Pb 0.0000 0.3065 0.1541

Computed properties:
Its formation energy is -254.9 meV/atom. Its volume is 531.7 Å³/f.u. The value obtained for the calculated density is 11.01 g cm⁻³. The magnetic moment comes out at 0.00 μB/atom.

Record 2
Compound: PrGa2Ni3
Source: Materials Project
Functional: PBE
Structure: relaxed

a b c (Å): 8.9091 8.9091 4.1505
angles (deg): 90.00 90.00 120.00
Space group P-62m (No. 189)
Asymmetric unit:
1 Pr 0.0000 0.0000 0.0000
2 Pr 0.3333 0.6667 0.5000
3 Ga 0.0000 0.2736 0.5000
4 Ga 0.0000 0.5152 0.0000
5 Ni 0.0000 0.7081 0.5000
6 Ni 0.1759 0.3693 0.0000

Computed properties:
Its formation energy is -506.1 meV/atom. Its volume is 95.1 Å³/f.u. The value obtained for the calculated density is 7.97 g cm⁻³.

Record 3
Compound: Al2SiO5
Source: Materials Project
Functional: PBE
Structure: relaxed

a b c (Å): 9.4968 4.7181 6.6998
angles (deg): 90.00 112.06 90.00
Space group C2/c (No. 15)
Asymmetric unit:
1 Al 0.1333 0.0104 0.2271
2 Si 0.0000 0.5000 0.0000
3 O 0.0000 0.3115 0.7500
4 O 0.0813 0.1744 0.4522
5 O 0.1804 0.3572 0.1460

Computed properties:
The energy above the most stable polymorph in this dataset is 100 meV/atom. Its formation energy is -3275.0 meV/atom. Its volume is 69.6 Å³/f.u. The value obtained for the calculated density is 3.87 g cm⁻³. The magnetic moment comes out at 0.00 μB/atom.